Entry 1:
Ba2ScUO6 r²SCAN optimized geometry; space-group type = Fm-3m, No. 225; size of the total moment = 1.00 Bohr magnetons per cell; V = 15.49 A^3/atom; energy of formation from the pure elements = -3.5845 eV/atom
1.0
0.000 4.263 4.263
4.263 0.000 4.263
4.263 4.263 0.000
Ba Sc U O
2 1 1 6
direct
0.250 0.250 0.250
0.750 0.750 0.750
0.000 0.000 0.000
0.500 0.500 0.500
0.248 0.248 0.752
0.248 0.752 0.248
0.248 0.752 0.752
0.752 0.248 0.248
0.752 0.248 0.752
0.752 0.752 0.248

=====

Entry 2:
BaZnSe4O12 r²SCAN optimized geometry; space-group type = P4/mmm, No. 123; size of the total moment = 0.00 Bohr magnetons per cell; V = 12.12 A^3/atom; energy of formation from the pure elements = -0.5331 eV/atom
1.0
5.396 0.000 0.000
0.000 5.396 0.000
0.000 0.000 7.495
Ba Zn Se O
1 1 4 12
direct
0.000 0.000 0.000
0.500 0.500 0.500
0.000 0.500 0.260
0.000 0.500 0.740
0.500 0.000 0.260
0.500 0.000 0.740
0.000 0.500 0.000
0.000 0.500 0.500
0.261 0.261 0.275
0.261 0.261 0.725
0.261 0.739 0.275
0.261 0.739 0.725
0.500 0.000 0.000
0.500 0.000 0.500
0.739 0.261 0.275
0.739 0.261 0.725
0.739 0.739 0.275
0.739 0.739 0.725

=====

Entry 3:
Ba5Si8O21 r²SCAN optimized geometry; space-group type = C2/c, No. 15; size of the total moment = 0.00 Bohr magnetons per cell; V = 15.81 A^3/atom; energy of formation from the pure elements = -3.1802 eV/atom
1.0
16.478 -2.359 0.000
16.478 2.359 0.000
-1.965 0.000 13.830
Ba Si O
10 16 42
direct
0.000 0.000 0.000
0.000 0.000 0.500
0.201 0.235 0.884
0.235 0.201 0.384
0.375 0.401 0.555
0.401 0.375 0.055
0.599 0.625 0.945
0.625 0.599 0.445
0.765 0.799 0.616
0.799 0.765 0.116
0.027 0.874 0.223
0.126 0.973 0.277
0.137 0.249 0.602
0.249 0.137 0.102
0.277 0.393 0.791
0.357 0.501 0.838
0.393 0.277 0.291
0.499 0.643 0.662
0.501 0.357 0.338
0.607 0.723 0.709
0.643 0.499 0.162
0.723 0.607 0.209
0.751 0.863 0.898
0.863 0.751 0.398
0.874 0.027 0.723
0.973 0.126 0.777
0.027 0.838 0.810
0.055 0.074 0.386
0.056 0.944 0.250
0.065 0.296 0.197
0.074 0.055 0.886
0.140 0.180 0.507
0.162 0.973 0.690
0.180 0.140 0.007
0.189 0.421 0.354
0.229 0.248 0.081
0.248 0.229 0.581
0.296 0.065 0.697
0.317 0.348 0.179
0.343 0.531 0.240
0.348 0.317 0.679
0.361 0.401 0.852
0.401 0.361 0.352
0.421 0.189 0.854
0.452 0.460 0.437
0.460 0.452 0.937
0.469 0.657 0.260
0.531 0.343 0.740
0.540 0.548 0.063
0.548 0.540 0.563
0.579 0.811 0.146
0.599 0.639 0.648
0.639 0.599 0.148
0.652 0.683 0.321
0.657 0.469 0.760
0.683 0.652 0.821
0.704 0.935 0.303
0.752 0.771 0.419
0.771 0.752 0.919
0.811 0.579 0.646
0.820 0.860 0.993
0.838 0.027 0.310
0.860 0.820 0.493
0.926 0.945 0.114
0.935 0.704 0.803
0.944 0.056 0.750
0.945 0.926 0.614
0.973 0.162 0.190

=====

Entry 4:
Ba2Si3O8 r²SCAN optimized geometry; space-group type = P2_1/c, No. 14; size of the total moment = 0.00 Bohr magnetons per cell; V = 15.88 A^3/atom; energy of formation from the pure elements = -3.1888 eV/atom
1.0
12.528 0.000 0.000
0.000 4.707 0.000
-0.850 0.000 13.999
Ba Si O
8 12 32
direct
0.082 0.228 0.111
0.082 0.272 0.611
0.356 0.748 0.032
0.356 0.752 0.532
0.644 0.248 0.468
0.644 0.252 0.968
0.918 0.728 0.389
0.918 0.772 0.889
0.149 0.185 0.389
0.149 0.315 0.889
0.224 0.679 0.277
0.224 0.821 0.777
0.474 0.679 0.312
0.474 0.821 0.812
0.526 0.179 0.188
0.526 0.321 0.688
0.776 0.179 0.223
0.776 0.321 0.723
0.851 0.685 0.111
0.851 0.815 0.611
0.029 0.248 0.416
0.029 0.252 0.916
0.149 0.648 0.850
0.149 0.852 0.350
0.182 0.148 0.791
0.182 0.352 0.291
0.213 0.739 0.668
0.213 0.761 0.168
0.234 0.233 0.478
0.234 0.267 0.978
0.345 0.704 0.327
0.345 0.796 0.827
0.465 0.236 0.590
0.465 0.264 0.090
0.499 0.651 0.714
0.499 0.849 0.214
0.501 0.151 0.786
0.501 0.349 0.286
0.535 0.736 0.910
0.535 0.764 0.410
0.655 0.204 0.173
0.655 0.296 0.673
0.766 0.733 0.022
0.766 0.767 0.522
0.787 0.239 0.832
0.787 0.261 0.332
0.818 0.648 0.709
0.818 0.852 0.209
0.851 0.148 0.650
0.851 0.352 0.150
0.971 0.748 0.084
0.971 0.752 0.584

=====

Entry 5:
BaSiO3 r²SCAN optimized geometry; space-group type = C2/c, No. 15; size of the total moment = 0.00 Bohr magnetons per cell; V = 17.29 A^3/atom; energy of formation from the pure elements = -3.2198 eV/atom
1.0
6.508 -3.768 0.000
6.508 3.768 0.000
-4.226 0.000 10.574
Ba Si O
6 6 18
direct
0.000 0.500 0.000
0.150 0.674 0.501
0.326 0.850 0.999
0.500 0.000 0.500
0.674 0.150 0.001
0.850 0.326 0.499
0.180 0.820 0.250
0.345 0.418 0.754
0.418 0.345 0.254
0.582 0.655 0.746
0.655 0.582 0.246
0.820 0.180 0.750
0.032 0.879 0.118
0.121 0.968 0.382
0.198 0.374 0.622
0.216 0.583 0.252
0.288 0.463 0.887
0.374 0.198 0.122
0.381 0.619 0.750
0.417 0.784 0.248
0.463 0.288 0.387
0.537 0.712 0.613
0.583 0.216 0.752
0.619 0.381 0.250
0.626 0.802 0.878
0.712 0.537 0.113
0.784 0.417 0.748
0.802 0.626 0.378
0.879 0.032 0.618
0.968 0.121 0.882

=====

Entry 6:
Ba3SiO5 r²SCAN optimized geometry; space-group type = I4/mcm, No. 140; size of the total moment = 0.00 Bohr magnetons per cell; V = 16.94 A^3/atom; energy of formation from the pure elements = -3.1060 eV/atom
1.0
-3.670 3.670 5.660
3.670 -3.670 5.660
3.670 3.670 -5.660
Ba Si O
6 2 10
direct
0.182 0.682 0.864
0.250 0.250 0.000
0.318 0.182 0.500
0.682 0.818 0.500
0.750 0.750 0.000
0.818 0.318 0.136
0.250 0.750 0.500
0.750 0.250 0.500
0.000 0.000 0.000
0.036 0.790 0.500
0.210 0.710 0.247
0.290 0.536 0.500
0.464 0.964 0.753
0.500 0.500 0.000
0.536 0.036 0.247
0.710 0.464 0.500
0.790 0.290 0.753
0.964 0.210 0.500

=====

Entry 7:
Ba3Ta6Si4O26 r²SCAN optimized geometry; space-group type = P-62m, No. 189; size of the total moment = 0.00 Bohr magnetons per cell; V = 14.08 A^3/atom; energy of formation from the pure elements = -3.2255 eV/atom
1.0
9.046 0.000 0.000
-4.523 7.834 0.000
0.000 0.000 7.747
Ba Ta Si O
3 6 4 26
direct
0.000 0.603 0.000
0.397 0.397 0.000
0.603 0.000 0.000
0.000 0.238 0.256
0.000 0.238 0.744
0.238 0.000 0.256
0.238 0.000 0.744
0.762 0.762 0.256
0.762 0.762 0.744
0.333 0.667 0.294
0.333 0.667 0.706
0.667 0.333 0.294
0.667 0.333 0.706
0.000 0.228 0.000
0.000 0.281 0.500
0.000 0.822 0.268
0.000 0.822 0.732
0.178 0.178 0.268
0.178 0.178 0.732
0.183 0.488 0.216
0.183 0.488 0.784
0.228 0.000 0.000
0.281 0.000 0.500
0.305 0.817 0.216
0.305 0.817 0.784
0.333 0.667 0.500
0.488 0.183 0.216
0.488 0.183 0.784
0.512 0.695 0.216
0.512 0.695 0.784
0.667 0.333 0.500
0.695 0.512 0.216
0.695 0.512 0.784
0.719 0.719 0.500
0.772 0.772 0.000
0.817 0.305 0.216
0.817 0.305 0.784
0.822 0.000 0.268
0.822 0.000 0.732

=====

Entry 8:
Ba2VSi2O8 r²SCAN optimized geometry; space-group type = P4bm, No. 100; size of the total moment = 2.00 Bohr magnetons per cell; V = 14.66 A^3/atom; energy of formation from the pure elements = -3.1131 eV/atom
1.0
8.516 0.000 0.000
0.000 8.516 0.000
0.000 0.000 5.255
Ba V Si O
4 2 4 16
direct
0.171 0.329 0.000
0.329 0.829 0.000
0.671 0.171 0.000
0.829 0.671 0.000
0.000 0.000 0.539
0.500 0.500 0.539
0.130 0.630 0.521
0.370 0.130 0.521
0.630 0.870 0.521
0.870 0.370 0.521
0.000 0.000 0.226
0.000 0.500 0.632
0.077 0.794 0.653
0.129 0.629 0.217
0.206 0.077 0.653
0.294 0.577 0.653
0.371 0.129 0.217
0.423 0.294 0.653
0.500 0.000 0.632
0.500 0.500 0.226
0.577 0.706 0.653
0.629 0.871 0.217
0.706 0.423 0.653
0.794 0.923 0.653
0.871 0.371 0.217
0.923 0.206 0.653

=====

Entry 9:
BaSm2O4 r²SCAN optimized geometry; space-group type = Pnma, No. 62; size of the total moment = 0.00 Bohr magnetons per cell; V = 16.68 A^3/atom; energy of formation from the pure elements = -3.4726 eV/atom
1.0
10.587 0.000 0.000
0.000 3.561 0.000
0.000 0.000 12.383
Ba Sm O
4 8 16
direct
0.248 0.250 0.148
0.252 0.750 0.648
0.748 0.250 0.352
0.752 0.750 0.852
0.077 0.250 0.389
0.077 0.250 0.889
0.423 0.750 0.389
0.423 0.750 0.889
0.577 0.250 0.111
0.577 0.250 0.611
0.923 0.750 0.111
0.923 0.750 0.611
0.017 0.750 0.783
0.071 0.250 0.576
0.120 0.750 0.018
0.211 0.750 0.334
0.289 0.250 0.834
0.380 0.250 0.518
0.429 0.750 0.076
0.483 0.250 0.283
0.517 0.750 0.717
0.571 0.250 0.924
0.620 0.750 0.482
0.711 0.750 0.166
0.789 0.250 0.666
0.880 0.250 0.982
0.929 0.750 0.424
0.983 0.250 0.217

=====

Entry 10:
Ba3Sn2O7 r²SCAN optimized geometry; space-group type = Cmcm, No. 63; size of the total moment = 0.00 Bohr magnetons per cell; V = 15.63 A^3/atom; energy of formation from the pure elements = -2.5182 eV/atom
1.0
10.838 -2.942 0.000
10.838 2.942 0.000
0.000 0.000 5.884
Ba Sn O
6 4 14
direct
0.065 0.565 0.750
0.250 0.750 0.750
0.435 0.935 0.750
0.565 0.065 0.250
0.750 0.250 0.250
0.935 0.435 0.250
0.154 0.654 0.250
0.346 0.846 0.250
0.654 0.154 0.750
0.846 0.346 0.750
0.060 0.557 0.250
0.095 0.095 0.000
0.095 0.095 0.500
0.248 0.752 0.250
0.405 0.405 0.000
0.405 0.405 0.500
0.443 0.940 0.250
0.557 0.060 0.750
0.595 0.595 0.000
0.595 0.595 0.500
0.752 0.248 0.750
0.905 0.905 0.000
0.905 0.905 0.500
0.940 0.443 0.750

=====

Entry 11:
BaSnO3 r²SCAN optimized geometry; space-group type = Pm-3m, No. 221; size of the total moment = 0.00 Bohr magnetons per cell; V = 14.23 A^3/atom; energy of formation from the pure elements = -2.4378 eV/atom
1.0
4.143 0.000 0.000
0.000 4.143 0.000
0.000 0.000 4.143
Ba Sn O
1 1 3
direct
0.000 0.000 0.000
0.500 0.500 0.500
0.000 0.500 0.500
0.500 0.000 0.500
0.500 0.500 0.000

=====

Copy entry 3 word for word.
Ba5Si8O21 r²SCAN optimized geometry; space-group type = C2/c, No. 15; size of the total moment = 0.00 Bohr magnetons per cell; V = 15.81 A^3/atom; energy of formation from the pure elements = -3.1802 eV/atom
1.0
16.478 -2.359 0.000
16.478 2.359 0.000
-1.965 0.000 13.830
Ba Si O
10 16 42
direct
0.000 0.000 0.000
0.000 0.000 0.500
0.201 0.235 0.884
0.235 0.201 0.384
0.375 0.401 0.555
0.401 0.375 0.055
0.599 0.625 0.945
0.625 0.599 0.445
0.765 0.799 0.616
0.799 0.765 0.116
0.027 0.874 0.223
0.126 0.973 0.277
0.137 0.249 0.602
0.249 0.137 0.102
0.277 0.393 0.791
0.357 0.501 0.838
0.393 0.277 0.291
0.499 0.643 0.662
0.501 0.357 0.338
0.607 0.723 0.709
0.643 0.499 0.162
0.723 0.607 0.209
0.751 0.863 0.898
0.863 0.751 0.398
0.874 0.027 0.723
0.973 0.126 0.777
0.027 0.838 0.810
0.055 0.074 0.386
0.056 0.944 0.250
0.065 0.296 0.197
0.074 0.055 0.886
0.140 0.180 0.507
0.162 0.973 0.690
0.180 0.140 0.007
0.189 0.421 0.354
0.229 0.248 0.081
0.248 0.229 0.581
0.296 0.065 0.697
0.317 0.348 0.179
0.343 0.531 0.240
0.348 0.317 0.679
0.361 0.401 0.852
0.401 0.361 0.352
0.421 0.189 0.854
0.452 0.460 0.437
0.460 0.452 0.937
0.469 0.657 0.260
0.531 0.343 0.740
0.540 0.548 0.063
0.548 0.540 0.563
0.579 0.811 0.146
0.599 0.639 0.648
0.639 0.599 0.148
0.652 0.683 0.321
0.657 0.469 0.760
0.683 0.652 0.821
0.704 0.935 0.303
0.752 0.771 0.419
0.771 0.752 0.919
0.811 0.579 0.646
0.820 0.860 0.993
0.838 0.027 0.310
0.860 0.820 0.493
0.926 0.945 0.114
0.935 0.704 0.803
0.944 0.056 0.750
0.945 0.926 0.614
0.973 0.162 0.190